# HoClO (PBE, relaxed)
data_HoClO
_chemical_formula_sum 'Ho2 Cl2 O2'
_symmetry_space_group_name_H-M 'P 4/n m m'
_symmetry_Int_Tables_number 129
_cell_length_a 3.887
_cell_length_b 3.887
_cell_length_c 6.723
_cell_angle_alpha 90.00
_cell_angle_beta 90.00
_cell_angle_gamma 90.00
loop_
_symmetry_equiv_pos_as_xyz
'x,y,z'
'-x,-y,-z'
'-y+1/2,x,z'
'y+1/2,-x,-z'
'-x+1/2,-y+1/2,z'
'x+1/2,y+1/2,-z'
'y,-x+1/2,z'
'-y,x+1/2,-z'
'x+1/2,-y,-z'
'-x+1/2,y,z'
'-y,-x,-z'
'y,x,z'
'-x,y+1/2,-z'
'x,-y+1/2,z'
'y+1/2,x+1/2,-z'
'-y+1/2,-x+1/2,z'
loop_
_atom_site_label
_atom_site_type_symbol
_atom_site_fract_x
_atom_site_fract_y
_atom_site_fract_z
Ho1 Ho 0.250 0.250 0.166
Cl1 Cl 0.250 0.250 0.629
O1 O 0.250 0.750 0.000
# * crystal system: tetragonal
# * formation energy: -76.3 kcal/mol of atoms
# * energy with MP2020 corrections: -42.6 eV for the cell shown
# * total energy: -20.62 eV/f.u.



# Rb2HgBiI6 (PBE, relaxed)
data_Rb2HgBiI6
_chemical_formula_sum 'Rb8 Hg4 Bi4 I24'
_symmetry_space_group_name_H-M 'F m -3 m'
_symmetry_Int_Tables_number 225
_symmetry_space_group_name_Hall '-F 4 2 3'
_cell_length_a 12.455
_cell_length_b 12.455
_cell_length_c 12.455
_cell_angle_alpha 90.00
_cell_angle_beta 90.00
_cell_angle_gamma 90.00
loop_
_atom_site_label
_atom_site_type_symbol
_atom_site_fract_x
_atom_site_fract_y
_atom_site_fract_z
Rb1 Rb 0.250 0.250 0.250
Hg1 Hg 0.000 0.000 0.000
Bi1 Bi 0.000 0.000 0.500
I1 I 0.000 0.000 0.252
# * crystal system: cubic
# * formation energy: -23.7 kcal/mol of atoms
# * energy with MP2020 corrections: -102.2 eV for the cell shown
# * total energy: -23.29 eV/f.u.



# TaN2 (PBE, relaxed)
data_TaN2
_chemical_formula_sum 'Ta1 N2'
_symmetry_space_group_name_H-M 'P -6 m 2'
_symmetry_Int_Tables_number 187
_symmetry_space_group_name_Hall 'P -6 2'
_cell_length_a 3.1155
_cell_length_b 3.1155
_cell_length_c 3.7938
_cell_angle_alpha 90.00
_cell_angle_beta 90.00
_cell_angle_gamma 120.00
loop_
_atom_site_label
_atom_site_type_symbol
_atom_site_fract_x
_atom_site_fract_y
_atom_site_fract_z
Ta1 Ta 0.0000 0.0000 0.0000
N1 N 0.3333 0.6667 0.3156
# * crystal system: hexagonal
# * formation energy: -15.7 kcal/mol of atoms
# * energy with MP2020 corrections: -30.6 eV for the cell shown
# * total energy: -29.85 eV/f.u.



# Ti27CuP16 (PBE, relaxed)
data_Ti27CuP16
_chemical_formula_sum 'Ti54 Cu2 P32'
_symmetry_space_group_name_H-M 'C 1 m 1'
_symmetry_Int_Tables_number 8
_symmetry_space_group_name_Hall 'C -2y'
_cell_length_a 14.506
_cell_length_b 3.408
_cell_length_c 27.256
_cell_angle_alpha 90.00
_cell_angle_beta 104.63
_cell_angle_gamma 90.00
loop_
_atom_site_label
_atom_site_type_symbol
_atom_site_fract_x
_atom_site_fract_y
_atom_site_fract_z
Ti1 Ti 0.000 0.000 0.000
Ti2 Ti 0.000 0.000 0.499
Ti3 Ti 0.017 0.000 0.882
Ti4 Ti 0.018 0.000 0.383
Ti5 Ti 0.027 0.000 0.126
Ti6 Ti 0.030 0.000 0.624
Ti7 Ti 0.115 0.500 0.832
Ti8 Ti 0.116 0.500 0.332
Ti9 Ti 0.126 0.500 0.075
Ti10 Ti 0.142 0.500 0.460
Ti11 Ti 0.143 0.500 0.958
Ti12 Ti 0.161 0.000 0.245
Ti13 Ti 0.161 0.000 0.746
Ti14 Ti 0.245 0.000 0.641
Ti15 Ti 0.251 0.000 0.144
Ti16 Ti 0.319 0.500 0.398
Ti17 Ti 0.319 0.500 0.898
Ti18 Ti 0.321 0.000 0.979
Ti19 Ti 0.321 0.500 0.229
Ti20 Ti 0.321 0.500 0.728
Ti21 Ti 0.324 0.000 0.480
Ti22 Ti 0.324 0.500 0.060
Ti23 Ti 0.324 0.500 0.560
Ti24 Ti 0.391 0.000 0.313
Ti25 Ti 0.392 0.000 0.814
Ti26 Ti 0.482 0.000 0.213
Ti27 Ti 0.482 0.000 0.713
Cu1 Cu 0.126 0.500 0.569
P1 P 0.000 0.000 0.284
P2 P 0.143 0.500 0.677
P3 P 0.144 0.500 0.174
P4 P 0.191 0.000 0.900
P5 P 0.192 0.000 0.401
P6 P 0.193 0.000 0.030
P7 P 0.193 0.000 0.532
P8 P 0.260 0.500 0.304
P9 P 0.261 0.500 0.804
P10 P 0.382 0.500 0.652
P11 P 0.383 0.500 0.154
P12 P 0.450 0.000 0.927
P13 P 0.451 0.000 0.428
P14 P 0.452 0.000 0.058
P15 P 0.456 0.000 0.559
P16 P 0.499 0.500 0.783
# * crystal system: monoclinic
# * formation energy: -25.6 kcal/mol of atoms
# * total energy: -352.66 eV/f.u.



Copy entry 3 word for word.
# TaN2 (PBE, relaxed)
data_TaN2
_chemical_formula_sum 'Ta1 N2'
_symmetry_space_group_name_H-M 'P -6 m 2'
_symmetry_Int_Tables_number 187
_symmetry_space_group_name_Hall 'P -6 2'
_cell_length_a 3.1155
_cell_length_b 3.1155
_cell_length_c 3.7938
_cell_angle_alpha 90.00
_cell_angle_beta 90.00
_cell_angle_gamma 120.00
loop_
_atom_site_label
_atom_site_type_symbol
_atom_site_fract_x
_atom_site_fract_y
_atom_site_fract_z
Ta1 Ta 0.0000 0.0000 0.0000
N1 N 0.3333 0.6667 0.3156
# * crystal system: hexagonal
# * formation energy: -15.7 kcal/mol of atoms
# * energy with MP2020 corrections: -30.6 eV for the cell shown
# * total energy: -29.85 eV/f.u.